Here is crystalline PrYMg2 at its relaxed geometry from Materials Project. Energies are from r²SCAN.

Computed properties:
ΔH_f (0 K), kJ per mole of atoms: -9.5
E_tot, eV/cell: -58.448

Cell: 3.8505 3.8505 7.8121 Å, 90.00 90.00 90.00°
Closest atoms and distances in Å follow each position.
Positions (direct):
1 Pr 0.0000 0.0000 0.0000  8 Mg 3.40
2 Y 0.0000 0.0000 0.5000  8 Mg 3.30
3 Mg 0.5000 0.5000 0.2613  4 Y 3.30, 4 Pr 3.40
4 Mg 0.5000 0.5000 0.7387  4 Y 3.30, 4 Pr 3.40